{
  "formula": "Te2Ir",
  "functional": "PBE",
  "state": "optimized geometry",
  "mass_density_g_cm3": 9.8,
  "delta_e_f_kj_per_mol_atoms": -28.9,
  "energy_ev_per_atom": -5.341,
  "lattice": [[22.917, 0.000, 0.000], [0.000, 4.075, 0.000], [0.000, 0.000, 6.469]],
  "species": ["Te", "Te", "Te", "Te", "Te", "Te", "Te", "Te", "Te", "Te", "Te", "Te", "Te", "Te", "Te", "Te", "Ir", "Ir", "Ir", "Ir", "Ir", "Ir", "Ir", "Ir"],
  "fractional_positions": [[0.009, 0.250, 0.221], [0.122, 0.750, 0.449], [0.136, 0.250, 0.923], [0.241, 0.250, 0.189], [0.259, 0.750, 0.689], [0.364, 0.750, 0.423], [0.378, 0.250, 0.949], [0.491, 0.750, 0.721], [0.509, 0.250, 0.279], [0.622, 0.750, 0.051], [0.636, 0.250, 0.577], [0.741, 0.250, 0.311], [0.759, 0.750, 0.811], [0.864, 0.750, 0.077], [0.878, 0.250, 0.551], [0.991, 0.750, 0.779], [0.076, 0.750, 0.068], [0.194, 0.250, 0.561], [0.306, 0.750, 0.061], [0.424, 0.250, 0.568], [0.576, 0.750, 0.432], [0.694, 0.250, 0.939], [0.806, 0.750, 0.439], [0.924, 0.250, 0.932]]
}